LiCo2O2F3 | PBE+U | optimized geometry

Results
* calculated formation energy: -1913 meV per atom
* space group: No. 63

Unit cell a=5.2964 b=5.2964 c=10.3534 alpha=90.00 beta=90.00 gamma=139.70
Positions (direct):
Li (0.8270, 0.1730, 0.2500)
Li (0.1730, 0.8270, 0.7500)
Co (0.8536, 0.1464, 0.5578)
Co (0.8536, 0.1464, 0.9422)
Co (0.1464, 0.8536, 0.0578)
Co (0.1464, 0.8536, 0.4422)
O (0.6758, 0.3242, 0.4533)
O (0.6758, 0.3242, 0.0467)
O (0.3242, 0.6758, 0.9533)
O (0.3242, 0.6758, 0.5467)
F (0.9602, 0.0398, 0.1180)
F (0.9602, 0.0398, 0.3820)
F (0.7630, 0.2370, 0.7500)
F (0.2370, 0.7630, 0.2500)
F (0.0398, 0.9602, 0.6180)
F (0.0398, 0.9602, 0.8820)